Record 1
# LiFe2P3O12 | Materials Project | GGA+U | optimized geometry
# energy relative to the elements = -2.2183 eV per atom
# magnetization = 8.000 μB/f.u.
# volume = 11.9 Å³ per atom
# mass density = 3.13 g/cm³
# energy = -6.758 eV per atom
# energy above the lowest structure with this stoichiometry = 32 meV per atom
data_LiFe2P3O12
_cell_length_a 8.6300
_cell_length_b 8.3656
_cell_length_c 11.8765
_cell_angle_alpha 89.93
_cell_angle_beta 90.00
_cell_angle_gamma 90.00
_space_group_name_H-M_alt 'P 1'
_space_group_IT_number 1
_space_group_name_Hall 'P 1'
loop_
_atom_site_label
_atom_site_type_symbol
_atom_site_fract_x
_atom_site_fract_y
_atom_site_fract_z
Li1 Li 0.2203 0.1967 0.8097
Li2 Li 0.7797 0.8033 0.1903
Li3 Li 0.2797 0.6967 0.3097
Li4 Li 0.7203 0.3033 0.6903
Fe1 Fe 0.0316 0.7454 0.8896
Fe2 Fe 0.5316 0.7546 0.6104
Fe3 Fe 0.9656 0.7484 0.3908
Fe4 Fe 0.4656 0.7516 0.1092
Fe5 Fe 0.5344 0.2484 0.8908
Fe6 Fe 0.0344 0.2516 0.6092
Fe7 Fe 0.4684 0.2454 0.3896
Fe8 Fe 0.9684 0.2546 0.1104
P1 P 0.3921 0.3933 0.6404
P2 P 0.2435 0.4653 0.9909
P3 P 0.1169 0.3878 0.3463
P4 P 0.7565 0.5347 0.0091
P5 P 0.6079 0.6067 0.3596
P6 P 0.8831 0.6122 0.6537
P7 P 0.1079 0.8933 0.1404
P8 P 0.3831 0.8878 0.8463
P9 P 0.7435 0.0347 0.5091
P10 P 0.6169 0.1122 0.1537
P11 P 0.8921 0.1067 0.8596
P12 P 0.2565 0.9653 0.4909
O1 O 0.4351 0.2756 0.5411
O2 O 0.3712 0.8988 0.5808
O3 O 0.4400 0.8466 0.9645
O4 O 0.9878 0.8577 0.2322
O5 O 0.2016 0.8692 0.8387
O6 O 0.6658 0.9347 0.6058
O7 O 0.8596 0.9402 0.4391
O8 O 0.8945 0.9301 0.8981
O9 O 0.1055 0.0699 0.1019
O10 O 0.1404 0.0598 0.5609
O11 O 0.3342 0.0653 0.3942
O12 O 0.4087 0.0658 0.8194
O13 O 0.6288 0.1012 0.4192
O14 O 0.7984 0.1308 0.1613
O15 O 0.5600 0.1534 0.0355
O16 O 0.0122 0.1423 0.7678
O17 O 0.7281 0.1531 0.8209
O18 O 0.8180 0.1731 0.5743
O19 O 0.9351 0.2244 0.9589
O20 O 0.5236 0.2229 0.2347
O21 O 0.0236 0.2771 0.2653
O22 O 0.5913 0.9342 0.1806
O23 O 0.3180 0.3269 0.9257
O24 O 0.2281 0.3469 0.6791
O25 O 0.0600 0.3466 0.4645
O26 O 0.5122 0.3577 0.7322
O27 O 0.2984 0.3692 0.3387
O28 O 0.1288 0.3988 0.0808
O29 O 0.8342 0.4347 0.1058
O30 O 0.6055 0.4301 0.3981
O31 O 0.9087 0.4342 0.6806
O32 O 0.6404 0.4402 0.9391
O33 O 0.3596 0.5598 0.0609
O34 O 0.0913 0.5658 0.3194
O35 O 0.3945 0.5699 0.6019
O36 O 0.1658 0.5653 0.8942
O37 O 0.8712 0.6012 0.9192
O38 O 0.7016 0.6308 0.6613
O39 O 0.4878 0.6423 0.2678
O40 O 0.9400 0.6534 0.5355
O41 O 0.7719 0.6531 0.3209
O42 O 0.6820 0.6731 0.0743
O43 O 0.2719 0.8469 0.1791
O44 O 0.9764 0.7229 0.7347
O45 O 0.4764 0.7771 0.7653
O46 O 0.0649 0.7756 0.0411
O47 O 0.1820 0.8269 0.4257
O48 O 0.5649 0.7244 0.4589



Record 2
# Li2FeP2O7 | Materials Project | GGA+U | optimized geometry
# energy relative to the elements = -2.5420 eV per atom
# magnetization = 4.000 μB/f.u.
# volume = 12.2 Å³ per atom
# mass density = 2.75 g/cm³
# energy = -6.766 eV per atom
# energy above the lowest structure with this stoichiometry = 29 meV per atom
data_Li2FeP2O7
_cell_length_a 5.1395
_cell_length_b 8.8089
_cell_length_c 13.3262
_cell_angle_alpha 103.04
_cell_angle_beta 88.84
_cell_angle_gamma 91.03
_space_group_name_H-M_alt 'P 1'
_space_group_IT_number 1
_space_group_name_Hall 'P 1'
loop_
_atom_site_label
_atom_site_type_symbol
_atom_site_fract_x
_atom_site_fract_y
_atom_site_fract_z
Li1 Li 0.0389 0.1693 0.4106
Li2 Li 0.5386 0.6692 0.4103
Li3 Li 0.5219 0.8919 0.0914
Li4 Li 0.0226 0.3923 0.0924
Li5 Li 0.9774 0.6078 0.9075
Li6 Li 0.4783 0.1081 0.9087
Li7 Li 0.4613 0.3308 0.5897
Li8 Li 0.9611 0.8308 0.5893
Fe1 Fe 0.9996 0.5001 0.5002
Fe2 Fe 0.0002 0.0000 0.0001
Fe3 Fe 0.5003 0.9999 0.5000
Fe4 Fe 0.5002 0.4999 0.0000
P1 P 0.9700 0.1860 0.6311
P2 P 0.4700 0.6864 0.6309
P3 P 0.9870 0.2698 0.8685
P4 P 0.4867 0.7691 0.8681
P5 P 0.5132 0.2309 0.1320
P6 P 0.0132 0.7303 0.1315
P7 P 0.5300 0.3137 0.3691
P8 P 0.0300 0.8139 0.3689
O1 O 0.0261 0.2720 0.7487
O2 O 0.5263 0.7727 0.7484
O3 O 0.4738 0.2273 0.2516
O4 O 0.9739 0.7279 0.2513
O5 O 0.1040 0.1183 0.8855
O6 O 0.6041 0.6176 0.8847
O7 O 0.6741 0.1601 0.6195
O8 O 0.1741 0.6604 0.6193
O9 O 0.8259 0.3397 0.3808
O10 O 0.3259 0.8399 0.3805
O11 O 0.3958 0.3824 0.1153
O12 O 0.8960 0.8817 0.1146
O13 O 0.1434 0.4142 0.9225
O14 O 0.6423 0.9132 0.9231
O15 O 0.0744 0.3050 0.5715
O16 O 0.5740 0.8048 0.5707
O17 O 0.4260 0.1952 0.4293
O18 O 0.9255 0.6950 0.4285
O19 O 0.3577 0.0867 0.0771
O20 O 0.8567 0.5859 0.0774
O21 O 0.8767 0.9657 0.3965
O22 O 0.3766 0.4654 0.3965
O23 O 0.8034 0.2160 0.1035
O24 O 0.3030 0.7148 0.1024
O25 O 0.6970 0.2852 0.8976
O26 O 0.1964 0.7841 0.8964
O27 O 0.6233 0.5346 0.6035
O28 O 0.1232 0.0342 0.6034



Question: The lowest magnetization belongs to which entry?
Answer: Li2FeP2O7